[1]
# Mg5Zn, relaxed, DFT PBE
# Space-group type: P-6m2, No. 187
data_Mg5Zn
_cell_length_a 3.111
_cell_length_b 3.111
_cell_length_c 15.360
_cell_angle_alpha 90.00
_cell_angle_beta 90.00
_cell_angle_gamma 120.00
_space_group_name_H-M_alt 'P 1'
_space_group_IT_number 1
loop_
_space_group_symop_operation_xyz
'x,y,z'
loop_
_atom_site_label
_atom_site_fract_x
_atom_site_fract_y
_atom_site_fract_z
Mg1 0.000 0.000 0.000
Mg2 0.000 0.000 0.350
Mg3 0.000 0.000 0.650
Mg4 0.667 0.333 0.173
Mg5 0.667 0.333 0.827
Zn1 0.667 0.333 0.500

---

[2]
# FeMo6Se8, relaxed, DFT PBE
# Distance to the lowest polymorph of the same formula (eV/atom): 0.073
# Space-group type: R-3, No. 148
data_FeMo6Se8
_cell_length_a 6.736
_cell_length_b 6.736
_cell_length_c 6.736
_cell_angle_alpha 92.44
_cell_angle_beta 92.44
_cell_angle_gamma 92.44
_space_group_name_H-M_alt 'P 1'
_space_group_IT_number 1
loop_
_space_group_symop_operation_xyz
'x,y,z'
loop_
_atom_site_label
_atom_site_fract_x
_atom_site_fract_y
_atom_site_fract_z
Fe1 0.000 0.000 0.000
Mo1 0.227 0.547 0.420
Mo2 0.420 0.227 0.547
Mo3 0.453 0.580 0.773
Mo4 0.547 0.420 0.227
Mo5 0.580 0.773 0.453
Mo6 0.773 0.453 0.580
Se1 0.127 0.364 0.748
Se2 0.216 0.216 0.216
Se3 0.252 0.873 0.636
Se4 0.364 0.748 0.127
Se5 0.636 0.252 0.873
Se6 0.748 0.127 0.364
Se7 0.784 0.784 0.784
Se8 0.873 0.636 0.252

---

[3]
# Nb2CS2, relaxed, DFT PBE
# Distance to the lowest polymorph of the same formula (eV/atom): 0.005
# Space-group type: P-3m1, No. 164
data_Nb2CS2
_cell_length_a 3.290
_cell_length_b 3.290
_cell_length_c 9.329
_cell_angle_alpha 90.00
_cell_angle_beta 90.00
_cell_angle_gamma 120.00
_space_group_name_H-M_alt 'P 1'
_space_group_IT_number 1
loop_
_space_group_symop_operation_xyz
'x,y,z'
loop_
_atom_site_label
_atom_site_fract_x
_atom_site_fract_y
_atom_site_fract_z
Nb1 0.333 0.667 0.128
Nb2 0.667 0.333 0.872
C1 0.000 0.000 0.000
S1 0.333 0.667 0.695
S2 0.667 0.333 0.305

---

[4]
# LaWN3, relaxed, DFT PBE
# Space-group type: P4mm, No. 99
data_LaWN3
_cell_length_a 3.909
_cell_length_b 3.909
_cell_length_c 4.553
_cell_angle_alpha 90.00
_cell_angle_beta 90.00
_cell_angle_gamma 90.00
_space_group_name_H-M_alt 'P 1'
_space_group_IT_number 1
loop_
_space_group_symop_operation_xyz
'x,y,z'
loop_
_atom_site_label
_atom_site_fract_x
_atom_site_fract_y
_atom_site_fract_z
La1 0.000 0.000 0.000
W1 0.500 0.500 0.453
N1 0.000 0.500 0.347
N2 0.500 0.000 0.347
N3 0.500 0.500 0.850

---

[5]
# K2CdGeO4, relaxed, DFT PBE
# Space-group type: Pca2_1, No. 29
data_K2CdGeO4
_cell_length_a 11.733
_cell_length_b 5.861
_cell_length_c 16.420
_cell_angle_alpha 90.00
_cell_angle_beta 90.00
_cell_angle_gamma 90.00
_space_group_name_H-M_alt 'P 1'
_space_group_IT_number 1
loop_
_space_group_symop_operation_xyz
'x,y,z'
loop_
_atom_site_label
_atom_site_fract_x
_atom_site_fract_y
_atom_site_fract_z
K1 0.005 0.014 0.000
K2 0.006 0.514 0.617
K3 0.226 0.030 0.371
K4 0.232 0.533 0.242
K5 0.268 0.533 0.742
K6 0.274 0.030 0.871
K7 0.494 0.514 0.117
K8 0.495 0.014 0.500
K9 0.505 0.986 0.000
K10 0.506 0.486 0.617
K11 0.726 0.970 0.371
K12 0.732 0.467 0.242
K13 0.768 0.467 0.742
K14 0.774 0.970 0.871
K15 0.994 0.486 0.117
K16 0.995 0.986 0.500
Cd1 0.019 0.018 0.747
Cd2 0.239 0.516 0.494
Cd3 0.261 0.516 0.994
Cd4 0.481 0.018 0.247
Cd5 0.519 0.982 0.747
Cd6 0.739 0.484 0.494
Cd7 0.761 0.484 0.994
Cd8 0.981 0.982 0.247
Ge1 0.012 0.523 0.867
Ge2 0.229 0.008 0.123
Ge3 0.271 0.008 0.623
Ge4 0.488 0.523 0.367
Ge5 0.512 0.477 0.867
Ge6 0.729 0.992 0.123
Ge7 0.771 0.992 0.623
Ge8 0.988 0.477 0.367
O1 0.014 0.776 0.358
O2 0.023 0.342 0.273
O3 0.074 0.374 0.449
O4 0.104 0.858 0.154
O5 0.158 0.598 0.886
O6 0.180 0.245 0.065
O7 0.184 0.815 0.567
O8 0.195 0.105 0.711
O9 0.305 0.105 0.211
O10 0.316 0.815 0.067
O11 0.320 0.245 0.565
O12 0.342 0.598 0.386
O13 0.396 0.858 0.654
O14 0.426 0.374 0.949
O15 0.477 0.342 0.773
O16 0.486 0.776 0.858
O17 0.514 0.224 0.358
O18 0.523 0.658 0.273
O19 0.574 0.626 0.449
O20 0.604 0.142 0.154
O21 0.658 0.402 0.886
O22 0.680 0.755 0.065
O23 0.684 0.185 0.567
O24 0.695 0.895 0.711
O25 0.805 0.895 0.211
O26 0.816 0.185 0.067
O27 0.820 0.755 0.565
O28 0.842 0.402 0.386
O29 0.896 0.142 0.654
O30 0.926 0.626 0.949
O31 0.977 0.658 0.773
O32 0.986 0.224 0.858

---

[6]
# Bi3P3O13, relaxed, DFT PBE
# Space-group type: P2_1/m, No. 11
data_Bi3P3O13
_cell_length_a 8.108
_cell_length_b 7.058
_cell_length_c 11.495
_cell_angle_alpha 90.00
_cell_angle_beta 95.43
_cell_angle_gamma 90.00
_space_group_name_H-M_alt 'P 1'
_space_group_IT_number 1
loop_
_space_group_symop_operation_xyz
'x,y,z'
loop_
_atom_site_label
_atom_site_fract_x
_atom_site_fract_y
_atom_site_fract_z
Bi1 0.000 0.000 0.000
Bi2 0.000 0.500 0.000
Bi3 0.210 0.250 0.549
Bi4 0.358 0.750 0.211
Bi5 0.642 0.250 0.789
Bi6 0.790 0.750 0.451
P1 0.220 0.750 0.489
P2 0.250 0.250 0.229
P3 0.316 0.250 0.879
P4 0.684 0.750 0.121
P5 0.750 0.750 0.771
P6 0.780 0.250 0.511
O1 0.053 0.750 0.408
O2 0.093 0.250 0.131
O3 0.130 0.750 0.089
O4 0.185 0.250 0.349
O5 0.222 0.067 0.905
O6 0.222 0.433 0.905
O7 0.237 0.572 0.566
O8 0.237 0.928 0.566
O9 0.353 0.250 0.745
O10 0.355 0.074 0.205
O11 0.355 0.426 0.205
O12 0.366 0.750 0.407
O13 0.495 0.250 0.942
O14 0.505 0.750 0.058
O15 0.634 0.250 0.593
O16 0.645 0.574 0.795
O17 0.645 0.926 0.795
O18 0.647 0.750 0.255
O19 0.763 0.072 0.434
O20 0.763 0.428 0.434
O21 0.778 0.567 0.095
O22 0.778 0.933 0.095
O23 0.815 0.750 0.651
O24 0.870 0.250 0.911
O25 0.907 0.750 0.869
O26 0.947 0.250 0.592

---

[7]
# Na5Zr2Ta2Si5PO24, relaxed, DFT PBE
# Space-group type: P1, No. 1
data_Na5Zr2Ta2Si5PO24
_cell_length_a 9.053
_cell_length_b 9.059
_cell_length_c 22.868
_cell_angle_alpha 90.15
_cell_angle_beta 90.04
_cell_angle_gamma 119.97
_space_group_name_H-M_alt 'P 1'
_space_group_IT_number 1
loop_
_space_group_symop_operation_xyz
'x,y,z'
loop_
_atom_site_label
_atom_site_fract_x
_atom_site_fract_y
_atom_site_fract_z
Na1 0.000 0.000 0.000
Na2 0.001 0.631 0.500
Na3 0.029 0.329 0.414
Na4 0.032 0.337 0.918
Na5 0.064 0.668 0.830
Na6 0.327 0.296 0.833
Na7 0.356 0.356 0.499
Na8 0.358 0.993 0.255
Na9 0.360 0.992 0.745
Na10 0.399 0.335 0.169
Na11 0.662 0.961 0.169
Na12 0.694 0.026 0.831
Na13 0.697 0.656 0.085
Na14 0.700 0.666 0.587
Na15 0.729 0.003 0.500
Zr1 0.025 0.329 0.566
Zr2 0.029 0.331 0.765
Zr3 0.360 0.992 0.901
Zr4 0.366 0.001 0.395
Zr5 0.698 0.663 0.230
Zr6 0.701 0.673 0.726
Ta1 0.029 0.335 0.063
Ta2 0.030 0.328 0.271
Ta3 0.360 0.994 0.103
Ta4 0.362 0.993 0.603
Ta5 0.689 0.664 0.939
Ta6 0.693 0.666 0.434
Si1 0.031 0.044 0.165
Si2 0.032 0.630 0.666
Si3 0.068 0.701 0.000
Si4 0.072 0.995 0.499
Si5 0.311 0.619 0.167
Si6 0.364 0.291 0.001
Si7 0.364 0.708 0.499
Si8 0.401 0.372 0.331
Si9 0.405 0.663 0.833
Si10 0.650 0.288 0.500
Si11 0.654 0.999 0.001
Si12 0.698 0.958 0.331
Si13 0.728 0.036 0.665
Si14 0.743 0.330 0.166
Si15 0.986 0.954 0.835
P1 0.324 0.325 0.665
P2 0.695 0.378 0.834
P3 0.984 0.659 0.333
O1 0.000 0.141 0.830
O2 0.004 0.136 0.108
O3 0.009 0.516 0.608
O4 0.046 0.159 0.506
O5 0.047 0.514 0.009
O6 0.063 0.545 0.725
O7 0.065 0.172 0.221
O8 0.160 0.815 0.339
O9 0.164 0.961 0.556
O10 0.168 0.835 0.055
O11 0.178 0.979 0.839
O12 0.179 0.781 0.941
O13 0.190 0.524 0.223
O14 0.191 0.303 0.010
O15 0.193 0.032 0.444
O16 0.203 0.818 0.658
O17 0.204 0.516 0.507
O18 0.208 0.036 0.158
O19 0.213 0.299 0.721
O20 0.215 0.363 0.326
O21 0.216 0.491 0.831
O22 0.218 0.494 0.110
O23 0.240 0.352 0.611
O24 0.324 0.174 0.943
O25 0.324 0.791 0.444
O26 0.336 0.162 0.658
O27 0.337 0.811 0.157
O28 0.377 0.185 0.338
O29 0.387 0.834 0.839
O30 0.389 0.193 0.058
O31 0.400 0.836 0.555
O32 0.500 0.483 0.672
O33 0.500 0.639 0.170
O34 0.502 0.496 0.390
O35 0.504 0.635 0.890
O36 0.514 0.460 0.273
O37 0.523 0.197 0.556
O38 0.527 0.695 0.778
O39 0.530 0.974 0.338
O40 0.531 0.970 0.057
O41 0.535 0.478 0.993
O42 0.537 0.198 0.841
O43 0.540 0.694 0.492
O44 0.543 0.025 0.658
O45 0.553 0.155 0.157
O46 0.568 0.165 0.444
O47 0.577 0.030 0.941
O48 0.662 0.456 0.780
O49 0.670 0.479 0.491
O50 0.676 0.846 0.273
O51 0.678 0.829 0.993
O52 0.707 0.847 0.670
O53 0.709 0.490 0.169
O54 0.722 0.494 0.889
O55 0.724 0.860 0.390
O56 0.816 0.150 0.725
O57 0.834 0.295 0.222
O58 0.842 0.314 0.506
O59 0.845 0.122 0.608
O60 0.849 0.158 0.009
O61 0.858 0.362 0.830
O62 0.859 0.861 0.169
O63 0.861 0.350 0.109
O64 0.861 0.643 0.670
O65 0.863 0.857 0.892
O66 0.871 0.636 0.389
O67 0.872 0.146 0.325
O68 0.882 0.820 0.492
O69 0.884 0.693 0.993
O70 0.897 0.684 0.279
O71 0.899 0.829 0.780
O72 0.995 0.494 0.327

---

[8]
# Sr8Si2PtO14, relaxed, DFT PBE
# Space-group type: C2, No. 5
data_Sr8Si2PtO14
_cell_length_a 9.986
_cell_length_b 9.986
_cell_length_c 7.276
_cell_angle_alpha 109.72
_cell_angle_beta 109.72
_cell_angle_gamma 33.76
_space_group_name_H-M_alt 'P 1'
_space_group_IT_number 1
loop_
_space_group_symop_operation_xyz
'x,y,z'
loop_
_atom_site_label
_atom_site_fract_x
_atom_site_fract_y
_atom_site_fract_z
Sr1 0.022 0.022 0.299
Sr2 0.191 0.182 0.789
Sr3 0.335 0.333 0.505
Sr4 0.427 0.388 0.043
Sr5 0.612 0.573 0.957
Sr6 0.667 0.665 0.495
Sr7 0.818 0.809 0.211
Sr8 0.978 0.978 0.701
Si1 0.193 0.150 0.206
Si2 0.850 0.807 0.794
Pt1 0.499 0.501 0.500
O1 0.065 0.110 0.040
O2 0.085 0.379 0.154
O3 0.099 0.509 0.799
O4 0.137 0.210 0.429
O5 0.180 0.660 0.360
O6 0.340 0.820 0.640
O7 0.457 0.467 0.741
O8 0.491 0.901 0.201
O9 0.533 0.543 0.259
O10 0.621 0.915 0.846
O11 0.659 0.180 0.358
O12 0.790 0.863 0.571
O13 0.820 0.341 0.642
O14 0.890 0.935 0.960

---

[9]
# Y3Co2, relaxed, DFT PBE
# Space-group type: Pnnm, No. 58
data_Y3Co2
_cell_length_a 9.424
_cell_length_b 12.226
_cell_length_c 3.967
_cell_angle_alpha 90.00
_cell_angle_beta 90.00
_cell_angle_gamma 90.00
_space_group_name_H-M_alt 'P 1'
_space_group_IT_number 1
loop_
_space_group_symop_operation_xyz
'x,y,z'
loop_
_atom_site_label
_atom_site_fract_x
_atom_site_fract_y
_atom_site_fract_z
Y1 0.072 0.136 0.000
Y2 0.127 0.613 0.000
Y3 0.195 0.372 0.500
Y4 0.305 0.872 0.000
Y5 0.373 0.113 0.500
Y6 0.428 0.636 0.500
Y7 0.572 0.364 0.500
Y8 0.627 0.887 0.500
Y9 0.695 0.128 0.000
Y10 0.805 0.628 0.500
Y11 0.873 0.387 0.000
Y12 0.928 0.864 0.000
Co1 0.117 0.962 0.500
Co2 0.140 0.769 0.500
Co3 0.360 0.269 0.000
Co4 0.383 0.462 0.000
Co5 0.617 0.538 0.000
Co6 0.640 0.731 0.000
Co7 0.860 0.231 0.500
Co8 0.883 0.038 0.500

---

[10]
# MgZn5, relaxed, DFT PBE
# Space-group type: Amm2, No. 38
data_MgZn5
_cell_length_a 4.569
_cell_length_b 7.471
_cell_length_c 7.471
_cell_angle_alpha 22.29
_cell_angle_beta 90.00
_cell_angle_gamma 90.00
_space_group_name_H-M_alt 'P 1'
_space_group_IT_number 1
loop_
_space_group_symop_operation_xyz
'x,y,z'
loop_
_atom_site_label
_atom_site_fract_x
_atom_site_fract_y
_atom_site_fract_z
Mg1 0.000 0.000 0.000
Zn1 0.000 0.330 0.330
Zn2 0.000 0.672 0.672
Zn3 0.500 0.114 0.114
Zn4 0.500 0.440 0.440
Zn5 0.500 0.777 0.777

---

The ΔE_f results, record by record, are as follows: 24 -646 -1049 -1204 -1941 -2166 -3128 -3071 -165 -28 meV/atom.
The total energy results, record by record, are as follows: -1.520 -7.162 -8.389 -9.568 -5.043 -6.550 -7.801 -6.674 -6.888 -1.345 eV per atom.